## Ag3SBr (PBE-GGA)

Data for an optimized crystal structure of Ag3SBr.

Cell and atoms, written as POSCAR:
```
Ag3SBr
1.0
0.000 4.906 4.964
4.801 0.000 4.964
4.801 4.906 0.000
Ag S Br
6 2 2
Cartesian
0.000 0.000 0.000
2.401 2.453 0.094
4.801 4.906 3.788
4.801 3.064 6.887
7.202 7.358 5.058
4.801 6.747 6.887
4.801 2.451 4.378
4.801 7.360 4.378
7.202 4.906 6.941
2.400 4.906 6.941
```

Properties
**Calculated total energy**: -2.99 eV/atom
**Symmetry**: Fmm2, No. 42
**MP2020-corrected energy**: -3.196 eV per atom
**Calculated volume**: 23.383 A^3/atom
**Energy of formation**: -0.342 eV per atom

---

## Br (PBE-GGA)

Data for an optimized crystal structure of Br.

Cell and atoms, written as POSCAR:
```
Br
1.0
3.761 0.000 0.000
0.000 3.761 0.000
0.000 0.000 3.761
Br
2
Cartesian
0.000 0.000 0.000
1.880 1.880 1.880
```

Properties
**Polymorph energy (0 for the lowest one)**: 629.6 meV per atom
**Calculated total energy**: -1.01 eV/atom
**Symmetry**: Im-3m, No. 229
**Calculated volume**: 26.596 A^3/atom
**Energy of formation**: 0.630 eV per atom

---

## Hf3Mn2Ga6 (PBE-GGA)

Data for an optimized crystal structure of Hf3Mn2Ga6.

Cell and atoms, written as POSCAR:
```
Hf3Mn2Ga6
1.0
5.417 0.000 0.000
0.000 8.778 0.000
0.000 0.000 7.746
Hf Mn Ga
6 4 12
Cartesian
1.354 0.279 1.198
1.354 4.110 1.198
1.354 6.584 5.562
4.063 2.195 2.184
4.063 4.668 6.548
4.063 8.499 6.548
0.000 0.000 3.873
0.000 4.389 3.873
2.709 0.000 3.873
2.709 4.389 3.873
0.060 6.584 0.325
1.354 0.558 5.920
1.354 2.195 3.393
1.354 3.831 5.920
1.354 6.584 2.837
2.649 6.584 0.325
2.768 2.195 7.421
4.063 2.195 4.909
4.063 4.947 1.826
4.063 6.584 4.353
4.063 8.220 1.826
5.357 2.195 7.421
```

Properties
**Calculated total energy**: -6.44 eV/atom
**Symmetry**: Pmmn, No. 59
**Calculated volume**: 16.743 A^3/atom
**Energy of formation**: -0.403 eV per atom

---

## CsMg6CO8 (PBE-GGA)

Data for an optimized crystal structure of CsMg6CO8.

Cell and atoms, written as POSCAR:
```
CsMg6CO8
1.0
4.447 0.000 0.000
0.000 4.447 0.000
0.000 0.000 9.388
Cs Mg C O
1 6 1 8
Cartesian
0.000 0.000 0.000
0.000 0.000 4.694
0.000 2.224 2.592
0.000 2.224 6.797
2.224 0.000 2.592
2.224 0.000 6.797
2.224 2.224 4.694
2.224 2.224 0.000
0.000 0.000 2.703
0.000 0.000 6.685
0.000 2.224 0.000
0.000 2.224 4.694
2.224 0.000 0.000
2.224 0.000 4.694
2.224 2.224 2.510
2.224 2.224 6.878
```

Properties
**Polymorph energy (0 for the lowest one)**: 0.0 meV per atom
**Calculated total energy**: -5.13 eV/atom
**Symmetry**: P4/mmm, No. 123
**MP2020-corrected energy**: -5.473 eV per atom
**Calculated volume**: 11.605 A^3/atom
**Energy of formation**: -1.767 eV per atom

---

## Nb6SnSe8 (PBE-GGA)

Data for an optimized crystal structure of Nb6SnSe8.

Cell and atoms, written as POSCAR:
```
Nb6SnSe8
1.0
10.112 0.000 0.000
-5.056 8.757 0.000
0.000 0.000 3.499
Nb Sn Se
6 1 8
Cartesian
-1.388 4.268 0.873
-0.665 7.825 0.873
3.002 3.336 2.626
2.054 5.421 0.873
5.721 0.932 2.626
6.444 4.489 2.626
0.000 0.000 0.000
-3.057 6.327 0.879
1.105 2.946 0.879
0.000 5.838 2.626
3.104 0.516 2.620
1.952 8.241 0.879
5.056 2.919 0.873
3.951 5.811 2.620
8.113 2.430 2.620
```

Properties
**Calculated total energy**: -6.92 eV/atom
**Symmetry**: P-3, No. 147
**MP2020-corrected energy**: -7.171 eV per atom
**Calculated volume**: 20.655 A^3/atom
**Energy of formation**: -0.999 eV per atom

---

## NbTlO14 (PBE-GGA)

Data for an optimized crystal structure of NbTlO14.

Cell and atoms, written as POSCAR:
```
NbTlO14
1.0
0.000 5.447 5.447
5.447 0.000 5.447
5.447 5.447 0.000
Nb Tl O
2 2 28
Cartesian
1.362 1.362 1.362
9.532 9.532 9.532
4.085 4.085 4.085
6.809 6.809 6.809
5.447 2.724 2.724
2.910 2.910 1.625
5.261 5.261 1.625
2.910 1.625 2.910
6.546 5.261 2.910
5.261 1.625 5.261
6.546 2.910 5.261
7.984 5.634 4.348
7.984 4.348 5.634
9.270 5.634 5.634
1.625 2.910 2.910
5.261 6.546 2.910
5.261 2.910 6.546
2.724 5.447 2.724
2.724 2.724 5.447
5.447 5.447 5.447
5.634 7.984 4.348
5.634 4.348 7.984
9.270 7.984 7.984
1.625 5.261 5.261
2.910 6.546 5.261
2.910 5.261 6.546
4.348 7.984 5.634
5.634 9.270 5.634
4.348 5.634 7.984
7.984 9.270 7.984
5.634 5.634 9.270
7.984 7.984 9.270
```

Properties
**Calculated total energy**: -4.44 eV/atom
**Symmetry**: Fd-3m, No. 227
**MP2020-corrected energy**: -5.042 eV per atom
**Calculated volume**: 10.101 A^3/atom
**Energy of formation**: 0.066 eV per atom

---

## BaYMgCu2O5 (PBE-GGA)

Data for an optimized crystal structure of BaYMgCu2O5.

Cell and atoms, written as POSCAR:
```
BaYMgCu2O5
1.0
3.966 0.000 0.000
0.082 3.969 0.000
1.372 1.292 8.984
Ba Y Mg Cu O
1 1 1 2 5
Cartesian
0.000 0.000 0.000
4.073 3.977 3.537
3.343 3.181 6.428
1.418 1.293 5.624
2.041 1.993 2.208
1.355 3.261 5.555
2.078 3.977 2.397
3.306 3.150 8.377
3.381 1.191 5.571
4.023 1.982 2.401
```

Properties
**Polymorph energy (0 for the lowest one)**: 0.0 meV per atom
**Calculated total energy**: -6.27 eV/atom
**Symmetry**: P1, No. 1
**MP2020-corrected energy**: -6.610 eV per atom
**Calculated volume**: 14.143 A^3/atom
**Energy of formation**: -2.317 eV per atom

---

## CuH2CN2Cl (PBE-GGA)

Data for an optimized crystal structure of CuH2CN2Cl.

Cell and atoms, written as POSCAR:
```
CuH2CN2Cl
1.0
10.540 0.000 0.000
0.000 4.089 0.000
0.000 0.000 13.423
Cu H C N Cl
4 8 4 8 4
Cartesian
10.536 1.022 1.235
0.004 3.067 12.188
5.266 1.022 5.476
5.274 3.067 7.947
1.550 1.022 9.902
1.988 1.022 8.169
3.282 3.067 1.458
3.720 3.067 3.191
6.820 1.022 10.233
7.258 1.022 11.966
8.552 3.067 5.254
8.990 3.067 3.521
1.122 3.067 5.092
4.148 1.022 11.803
6.392 3.067 1.620
9.418 1.022 8.332
0.032 1.022 8.597
1.307 1.022 8.915
3.963 3.067 2.204
5.238 3.067 1.885
5.302 1.022 11.538
6.577 1.022 11.220
9.233 3.067 4.508
10.508 3.067 4.827
0.719 1.022 12.094
4.551 3.067 5.383
5.989 1.022 8.041
9.821 3.067 1.329
```

Properties
**Polymorph energy (0 for the lowest one)**: 589.3 meV per atom
**Calculated total energy**: -5.21 eV/atom
**Symmetry**: Pnma, No. 62
**MP2020-corrected energy**: -5.297 eV per atom
**Calculated volume**: 20.661 A^3/atom
**Energy of formation**: 0.223 eV per atom

---

## TiP2W (PBE-GGA)

Data for an optimized crystal structure of TiP2W.

Cell and atoms, written as POSCAR:
```
TiP2W
1.0
3.231 0.000 0.000
0.000 3.293 0.000
0.000 0.000 11.147
Ti P W
2 4 2
Cartesian
0.000 0.000 0.000
1.616 1.647 5.574
0.000 0.000 4.691
0.000 1.647 1.869
1.616 0.000 7.443
1.616 1.647 10.265
0.000 1.647 8.417
1.616 0.000 2.843
```

Properties
**Calculated total energy**: -8.73 eV/atom
**Symmetry**: Imm2, No. 44
**Calculated volume**: 14.828 A^3/atom
**Energy of formation**: -0.815 eV per atom

---

## KInTe2O6 (PBE-GGA)

Data for an optimized crystal structure of KInTe2O6.

Cell and atoms, written as POSCAR:
```
KInTe2O6
1.0
13.611 0.000 0.000
0.000 5.938 0.000
0.000 0.000 8.457
K In Te O
4 4 8 24
Cartesian
1.767 1.484 0.036
5.038 4.453 4.264
8.573 1.484 4.193
11.844 4.453 8.421
1.273 4.453 2.444
5.532 1.484 6.673
8.079 4.453 1.784
12.338 1.484 6.013
1.005 4.453 6.029
2.683 1.484 4.315
4.122 4.453 0.087
5.800 1.484 1.801
7.810 4.453 6.656
9.489 1.484 8.370
10.928 4.453 4.141
12.606 1.484 2.428
0.076 3.010 6.817
0.076 5.896 6.817
0.171 4.453 4.324
2.242 4.453 0.448
2.752 0.032 3.098
2.752 2.937 3.098
4.054 3.000 7.327
4.054 5.906 7.327
4.563 1.484 4.677
6.635 1.484 0.096
6.729 0.042 2.588
6.729 2.927 2.588
6.882 3.010 5.868
6.882 5.896 5.868
6.976 4.453 8.361
9.048 4.453 3.780
9.557 0.032 1.130
9.557 2.937 1.130
10.859 3.000 5.359
10.859 5.906 5.359
11.369 1.484 8.009
13.440 1.484 4.132
13.534 0.042 1.640
13.534 2.927 1.640
```

Properties
**Calculated total energy**: -5.34 eV/atom
**Symmetry**: Pnma, No. 62
**MP2020-corrected energy**: -5.752 eV per atom
**Calculated volume**: 17.087 A^3/atom
**Energy of formation**: -1.769 eV per atom

---

## Lu2Ga9Rh3 (PBE-GGA)

Data for an optimized crystal structure of Lu2Ga9Rh3.

Cell and atoms, written as POSCAR:
```
Lu2Ga9Rh3
1.0
6.518 -3.777 0.000
6.518 3.777 0.000
0.000 0.000 9.475
Lu Ga Rh
4 18 6
Cartesian
4.379 2.521 7.106
8.657 2.521 7.106
4.379 -2.521 2.369
8.657 -2.521 2.369
8.701 -2.511 5.502
8.701 -2.511 8.710
4.334 2.511 0.765
4.334 2.511 3.972
6.518 2.827 2.369
6.518 1.267 5.367
6.518 1.267 8.845
8.701 2.511 0.765
8.701 2.511 3.972
5.144 0.422 2.369
5.144 -0.422 7.106
7.891 0.422 2.369
7.891 -0.422 7.106
4.334 -2.511 5.502
4.334 -2.511 8.710
6.518 -1.267 0.630
6.518 -1.267 4.107
6.518 -2.827 7.106
0.000 0.000 0.000
0.000 0.000 4.737
4.277 0.000 0.000
4.277 0.000 4.737
8.759 0.000 0.000
8.759 0.000 4.737
```

Properties
**Calculated total energy**: -4.84 eV/atom
**Symmetry**: Cmcm, No. 63
**Calculated volume**: 16.661 A^3/atom
**Energy of formation**: -0.673 eV per atom

---

## TmMgCd2 (PBE-GGA)

Data for an optimized crystal structure of TmMgCd2.

Cell and atoms, written as POSCAR:
```
TmMgCd2
1.0
7.172 0.000 0.000
0.000 7.172 0.000
0.000 0.000 7.172
Tm Mg Cd
4 4 8
Cartesian
0.000 0.000 0.000
0.000 3.586 3.586
3.586 0.000 3.586
3.586 3.586 0.000
0.000 0.000 3.586
0.000 3.586 0.000
3.586 0.000 0.000
3.586 3.586 3.586
1.793 1.793 1.793
1.793 1.793 5.379
1.793 5.379 1.793
1.793 5.379 5.379
5.379 1.793 1.793
5.379 1.793 5.379
5.379 5.379 1.793
5.379 5.379 5.379
```

Properties
**Calculated total energy**: -2.26 eV/atom
**Symmetry**: Fm-3m, No. 225
**Calculated volume**: 23.055 A^3/atom
**Energy of formation**: -0.278 eV per atom

---

## Ca6Al43W4 (PBE-GGA)

Data for an optimized crystal structure of Ca6Al43W4.

Cell and atoms, written as POSCAR:
```
Ca6Al43W4
1.0
11.098 0.000 0.000
-5.549 9.611 0.000
0.000 0.000 17.740
Ca Al W
12 86 8
Cartesian
-2.586 4.479 1.683
-2.586 4.479 7.187
-2.963 5.132 10.553
-2.963 5.132 16.056
5.172 0.000 1.683
5.172 0.000 7.187
2.586 4.479 10.553
2.586 4.479 16.056
5.926 0.000 10.553
5.926 0.000 16.056
2.963 5.132 1.683
2.963 5.132 7.187
-0.816 1.413 13.305
-0.886 1.534 2.037
-0.886 1.534 6.832
-1.398 2.421 9.437
-1.398 2.421 17.173
-4.151 7.190 0.567
-4.151 7.190 8.303
-4.663 8.077 10.907
-4.663 8.077 15.702
-4.733 8.199 4.435
1.631 0.000 13.305
0.816 1.413 4.435
-1.399 5.287 4.435
-1.670 5.756 13.305
-0.454 3.774 11.799
-0.454 3.774 14.811
-2.508 7.331 2.929
-2.508 7.331 5.941
1.771 0.000 2.037
1.771 0.000 6.832
0.886 1.534 10.907
0.886 1.534 15.702
0.454 3.774 2.929
0.454 3.774 5.941
-2.053 8.117 11.799
-2.053 8.117 14.811
0.000 4.744 0.000
0.000 4.744 8.870
-1.441 7.239 0.000
-1.441 7.239 8.870
2.796 0.000 9.437
2.796 0.000 17.173
1.398 2.421 0.567
1.398 2.421 8.303
0.000 6.407 2.237
0.000 6.407 6.633
0.000 6.407 11.107
0.000 6.407 15.502
3.496 1.494 11.799
3.496 1.494 14.811
3.041 2.280 2.929
3.041 2.280 5.941
1.399 5.287 13.305
-0.271 8.180 4.435
1.670 5.756 4.435
0.271 8.180 13.305
4.108 2.372 0.000
4.108 2.372 8.870
1.441 7.239 0.000
1.441 7.239 8.870
5.278 1.431 4.435
3.879 3.855 13.305
5.820 1.431 13.305
4.150 4.325 4.435
2.508 7.331 11.799
2.508 7.331 14.811
2.053 8.117 2.929
2.053 8.117 5.941
5.549 3.204 2.237
5.549 3.204 6.633
5.549 3.204 11.107
5.549 3.204 15.502
8.302 0.000 0.567
8.302 0.000 8.303
4.151 7.190 9.437
4.151 7.190 17.173
6.990 2.372 0.000
6.990 2.372 8.870
5.549 4.867 0.000
5.549 4.867 8.870
7.602 1.494 2.929
7.602 1.494 5.941
5.095 5.837 11.799
5.095 5.837 14.811
9.327 0.000 10.907
9.327 0.000 15.702
4.663 8.077 2.037
4.663 8.077 6.832
8.056 2.280 11.799
8.056 2.280 14.811
6.003 5.837 2.929
6.003 5.837 5.941
7.219 3.855 4.435
6.948 4.325 13.305
9.467 0.000 4.435
4.733 8.199 13.305
0.000 0.000 0.000
0.000 0.000 8.870
-1.497 2.592 4.435
-4.052 7.019 13.305
2.993 0.000 4.435
1.497 2.592 13.305
8.105 0.000 13.305
4.052 7.019 4.435
```

Properties
**Calculated total energy**: -4.45 eV/atom
**Symmetry**: P6_3/mcm, No. 193
**Calculated volume**: 17.851 A^3/atom
**Energy of formation**: -0.210 eV per atom

---

## NiSn2Au (PBE-GGA)

Data for an optimized crystal structure of NiSn2Au.

Cell and atoms, written as POSCAR:
```
NiSn2Au
1.0
3.604 0.000 0.000
-1.802 3.121 0.000
0.000 0.000 7.368
Ni Sn Au
1 2 1
Cartesian
0.000 0.000 0.000
0.000 2.081 1.633
0.000 2.081 5.735
1.802 1.040 3.684
```

Properties
**Polymorph energy (0 for the lowest one)**: 248.0 meV per atom
**Calculated total energy**: -4.25 eV/atom
**Symmetry**: P-6m2, No. 187
**Calculated volume**: 20.723 A^3/atom
**Energy of formation**: 0.020 eV per atom